# 1
An optimized crystal structure of Co3W, computed with PBE-GGA.

Cell: 5.113 5.113 4.093 Å, 90.00 90.00 120.00°
Positions (direct):
Co1 0.323 0.162 0.750
Co2 0.162 0.838 0.250
Co3 0.838 0.162 0.750
Co4 0.838 0.677 0.750
W1 0.667 0.333 0.250
W2 0.333 0.667 0.750
Co5 0.162 0.323 0.250
Co6 0.677 0.838 0.250

Properties
Symmetry   P6_3/mmc
ΔH_f (0 K)   -0.08 eV per atom
Calculated volume   11.58 Å³/atom

=====

# 2
An optimized crystal structure of BaEuYSbO6, computed with PBE-GGA.

Cell: 5.984 5.984 5.984 Å, 60.00 60.00 60.00°
Positions (direct):
O1 0.237 0.763 0.237
O2 0.763 0.237 0.237
Y1 0.500 0.500 0.500
Eu1 0.250 0.250 0.250
Ba1 0.750 0.750 0.750
Sb1 0.000 0.000 0.000
O3 0.237 0.237 0.763
O4 0.763 0.237 0.763
O5 0.763 0.763 0.237
O6 0.237 0.763 0.763

Properties
Symmetry   F-43m
ΔH_f (0 K)   -3.03 eV per atom
Energy above the lowest structure with this stoichiometry   21.9 meV/atom
Calculated volume   15.15 Å³/atom

=====

# 3
An optimized crystal structure of Cd5S4Cl2, computed with PBE-GGA.

Cell: 7.596 7.596 9.849 Å, 80.90 80.90 32.65°
Positions (direct):
Cd1 0.450 0.450 0.923
S1 0.039 0.039 0.837
S2 0.689 0.689 0.485
Cl1 0.304 0.304 0.795
S3 0.675 0.675 0.125
S4 0.405 0.405 0.185
Cd2 0.815 0.815 0.265
Cd3 0.546 0.546 0.336
Cd4 0.165 0.165 0.620
Cd5 0.161 0.161 0.995
Cl2 0.973 0.973 0.464

Properties
Largest piezoelectric modulus   1.155 C/m2
Symmetry   Cm
ΔH_f (0 K)   -1.00 eV per atom
Energy above the lowest structure with this stoichiometry   0.0 meV/atom
Calculated volume   27.49 Å³/atom

=====

# 4
An optimized crystal structure of KSO4, computed with PBE-GGA.

Cell: 5.103 5.580 7.610 Å, 103.64 109.36 87.70°
Positions (direct):
K1 0.427 0.191 0.760
O1 0.842 0.852 0.625
O2 0.283 0.717 0.818
O3 0.073 0.126 0.027
K2 0.573 0.809 0.240
O4 0.927 0.874 0.973
O5 0.149 0.518 0.246
S1 0.019 0.283 0.229
O6 0.158 0.148 0.375
O7 0.851 0.482 0.754
O8 0.717 0.283 0.182
S2 0.981 0.717 0.771

Properties
Symmetry   P-1
ΔH_f (0 K)   -1.78 eV per atom
Calculated volume   16.54 Å³/atom

=====

# 5
An optimized crystal structure of LiYF4, computed with PBE-GGA.

Cell: 5.230 5.270 6.565 Å, 113.31 113.12 90.82°
Positions (direct):
F1 0.825 0.458 0.587
F2 0.175 0.542 0.413
Li1 0.370 0.620 0.241
Li2 0.630 0.380 0.759
F3 0.263 0.130 0.587
F4 0.122 0.824 0.085
F5 0.537 0.739 0.915
Y1 0.124 0.874 0.748
Y2 0.876 0.126 0.252
F6 0.737 0.870 0.413
F7 0.463 0.261 0.085
F8 0.878 0.176 0.915

Properties
Symmetry   C2/c
ΔH_f (0 K)   -4.04 eV per atom
Energy above the lowest structure with this stoichiometry   0.3 meV/atom
Calculated volume   12.48 Å³/atom

=====

# 6
An optimized crystal structure of CaBiClO2, computed with PBE-GGA.

Cell: 4.171 6.513 7.825 Å, 75.22 90.00 90.00°
Positions (direct):
Cl1 0.250 0.056 0.185
Cl2 0.750 0.944 0.815
Bi1 0.250 0.676 0.593
Ca1 0.750 0.329 0.921
O1 0.250 0.489 0.857
Ca2 0.250 0.671 0.079
O2 0.250 0.471 0.402
Bi2 0.750 0.324 0.407
O3 0.750 0.529 0.598
O4 0.750 0.511 0.143

Properties
Symmetry   P2_1/m
ΔH_f (0 K)   -2.31 eV per atom
Calculated volume   20.56 Å³/atom